# HoMgSe3 PBE optimized geometry
# **Raw total energy**: -4.4441 eV/atom
# **Energy of formation**: -1.393 eV/atom
# **Total magnetic moment**: 0.0 Bohr magnetons per cell
# **Symmetry**: C2/m (12)
data_HoMgSe3
_chemical_formula_sum 'Ho2 Mg2 Se6'
_cell_length_a 7.341
_cell_length_b 7.341
_cell_length_c 6.888
_cell_angle_alpha 76.40
_cell_angle_beta 76.40
_cell_angle_gamma 119.02
_space_group_name_H-M_alt 'P 1'
_space_group_IT_number 1
loop_
_space_group_symop_operation_xyz
'x,y,z'
loop_
_atom_site_label
_atom_site_fract_x
_atom_site_fract_y
_atom_site_fract_z
Ho1 0.804 0.804 0.315
Ho2 0.196 0.196 0.685
Mg1 0.335 0.665 0.000
Mg2 0.665 0.335 0.000
Se1 0.222 0.881 0.216
Se2 0.778 0.119 0.784
Se3 0.119 0.778 0.784
Se4 0.881 0.222 0.216
Se5 0.533 0.533 0.745
Se6 0.467 0.467 0.255

---

# LiNdTi2O6 PBE optimized geometry
# **Raw total energy**: -8.2432 eV/atom
# **Energy of formation**: -3.440 eV/atom
# **Total magnetic moment**: 0.0 Bohr magnetons per cell
# **Symmetry**: Pm (6)
data_LiNdTi2O6
_chemical_formula_sum 'Li2 Nd2 Ti4 O12'
_cell_length_a 5.515
_cell_length_b 5.445
_cell_length_c 7.716
_cell_angle_alpha 90.00
_cell_angle_beta 90.00
_cell_angle_gamma 89.13
_space_group_name_H-M_alt 'P 1'
_space_group_IT_number 1
loop_
_space_group_symop_operation_xyz
'x,y,z'
loop_
_atom_site_label
_atom_site_fract_x
_atom_site_fract_y
_atom_site_fract_z
Li1 0.168 0.852 0.500
Li2 0.871 0.297 0.500
Nd1 0.787 0.267 0.000
Nd2 0.272 0.753 0.000
Ti1 0.269 0.267 0.738
Ti2 0.269 0.267 0.262
Ti3 0.755 0.771 0.731
Ti4 0.755 0.771 0.269
O1 0.456 0.968 0.725
O2 0.456 0.968 0.275
O3 0.515 0.482 0.804
O4 0.515 0.482 0.196
O5 0.962 0.033 0.704
O6 0.962 0.033 0.296
O7 0.014 0.523 0.799
O8 0.014 0.523 0.201
O9 0.223 0.179 0.000
O10 0.245 0.334 0.500
O11 0.751 0.832 0.000
O12 0.772 0.656 0.500

---

# BaCdPb PBE optimized geometry
# **Raw total energy**: -2.6368 eV/atom
# **Energy of formation**: -0.452 eV/atom
# **Symmetry**: C2/m (12)
data_BaCdPb
_chemical_formula_sum 'Ba2 Cd2 Pb2'
_cell_length_a 6.747
_cell_length_b 6.747
_cell_length_c 8.601
_cell_angle_alpha 50.59
_cell_angle_beta 50.59
_cell_angle_gamma 47.48
_space_group_name_H-M_alt 'P 1'
_space_group_IT_number 1
loop_
_space_group_symop_operation_xyz
'x,y,z'
loop_
_atom_site_label
_atom_site_fract_x
_atom_site_fract_y
_atom_site_fract_z
Ba1 0.541 0.541 0.208
Ba2 0.459 0.459 0.792
Cd1 0.158 0.158 0.400
Cd2 0.842 0.842 0.600
Pb1 0.835 0.835 0.226
Pb2 0.165 0.165 0.774

---

# K2Ni3S4 PBE optimized geometry
# **Raw total energy**: -4.7174 eV/atom
# **Energy of formation**: -0.929 eV/atom
# **Total magnetic moment**: 0.0 Bohr magnetons per cell
# **Symmetry**: P1 (1)
data_K2Ni3S4
_chemical_formula_sum 'K4 Ni6 S8'
_cell_length_a 14.073
_cell_length_b 13.447
_cell_length_c 5.814
_cell_angle_alpha 83.91
_cell_angle_beta 71.83
_cell_angle_gamma 24.26
_space_group_name_H-M_alt 'P 1'
_space_group_IT_number 1
loop_
_space_group_symop_operation_xyz
'x,y,z'
loop_
_atom_site_label
_atom_site_fract_x
_atom_site_fract_y
_atom_site_fract_z
K1 0.913 0.931 0.079
K2 0.068 0.087 0.929
K3 0.331 0.323 0.166
K4 0.178 0.167 0.318
Ni1 0.498 0.500 0.004
Ni2 0.007 0.994 0.494
Ni3 0.752 0.746 0.258
Ni4 0.247 0.251 0.756
Ni5 0.500 0.504 0.498
Ni6 0.741 0.760 0.753
S1 0.601 0.287 0.722
S2 0.376 0.731 0.288
S3 0.720 0.392 0.603
S4 0.274 0.617 0.390
S5 0.651 0.961 0.522
S6 0.870 0.523 0.961
S7 0.957 0.653 0.871
S8 0.529 0.864 0.646

---

# CeNbO4 PBE optimized geometry
# **Raw total energy**: -8.9851 eV/atom
# **Energy of formation**: -3.472 eV/atom
# **Symmetry**: I4_1/a (88)
data_CeNbO4
_chemical_formula_sum 'Ce2 Nb2 O8'
_cell_length_a 6.920
_cell_length_b 6.920
_cell_length_c 6.920
_cell_angle_alpha 134.08
_cell_angle_beta 134.08
_cell_angle_gamma 66.96
_space_group_name_H-M_alt 'P 1'
_space_group_IT_number 1
loop_
_space_group_symop_operation_xyz
'x,y,z'
loop_
_atom_site_label
_atom_site_fract_x
_atom_site_fract_y
_atom_site_fract_z
Ce1 0.750 0.250 0.500
Ce2 0.000 0.000 0.000
Nb1 0.250 0.750 0.500
Nb2 0.500 0.500 0.000
O1 0.586 0.671 0.583
O2 0.753 0.836 0.415
O3 0.997 0.414 0.085
O4 0.421 0.338 0.585
O5 0.329 0.912 0.915
O6 0.164 0.579 0.917
O7 0.088 0.003 0.417
O8 0.662 0.247 0.083

---

# B5H9 PBE optimized geometry
# **Raw total energy**: -4.6158 eV/atom
# **Energy of formation**: -0.164 eV/atom
# **Total magnetic moment**: 0.0 Bohr magnetons per cell
# **Symmetry**: P4_3 (78)
data_B5H9
_chemical_formula_sum 'B40 H72'
_cell_length_a 10.541
_cell_length_b 10.541
_cell_length_c 10.383
_cell_angle_alpha 90.00
_cell_angle_beta 90.00
_cell_angle_gamma 90.00
_space_group_name_H-M_alt 'P 1'
_space_group_IT_number 1
loop_
_space_group_symop_operation_xyz
'x,y,z'
loop_
_atom_site_label
_atom_site_fract_x
_atom_site_fract_y
_atom_site_fract_z
B1 0.822 0.375 0.070
B2 0.375 0.178 0.320
B3 0.625 0.822 0.820
B4 0.178 0.625 0.570
B5 0.337 0.647 0.514
B6 0.647 0.663 0.764
B7 0.353 0.337 0.264
B8 0.663 0.353 0.014
B9 0.298 0.806 0.466
B10 0.806 0.702 0.716
B11 0.194 0.298 0.216
B12 0.702 0.194 0.966
B13 0.139 0.783 0.522
B14 0.783 0.861 0.772
B15 0.217 0.139 0.272
B16 0.861 0.217 0.022
B17 0.267 0.751 0.616
B18 0.751 0.733 0.866
B19 0.249 0.267 0.366
B20 0.733 0.249 0.116
B21 0.723 0.219 0.567
B22 0.219 0.277 0.817
B23 0.781 0.723 0.317
B24 0.277 0.781 0.067
B25 0.885 0.199 0.520
B26 0.199 0.115 0.770
B27 0.801 0.885 0.270
B28 0.115 0.801 0.020
B29 0.886 0.357 0.456
B30 0.357 0.114 0.706
B31 0.643 0.886 0.206
B32 0.114 0.643 0.956
B33 0.724 0.376 0.503
B34 0.376 0.276 0.753
B35 0.624 0.724 0.253
B36 0.276 0.624 0.003
B37 0.836 0.326 0.608
B38 0.326 0.164 0.858
B39 0.674 0.836 0.358
B40 0.164 0.674 0.108
H1 0.095 0.670 0.482
H2 0.670 0.905 0.732
H3 0.330 0.095 0.232
H4 0.905 0.330 0.982
H5 0.245 0.567 0.476
H6 0.567 0.755 0.726
H7 0.433 0.245 0.226
H8 0.755 0.433 0.976
H9 0.336 0.704 0.397
H10 0.704 0.664 0.647
H11 0.296 0.336 0.147
H12 0.664 0.296 0.897
H13 0.186 0.806 0.403
H14 0.806 0.814 0.653
H15 0.194 0.186 0.153
H16 0.814 0.194 0.903
H17 0.125 0.544 0.630
H18 0.544 0.875 0.880
H19 0.456 0.125 0.380
H20 0.875 0.456 0.130
H21 0.130 0.634 0.209
H22 0.634 0.870 0.459
H23 0.366 0.130 0.959
H24 0.870 0.366 0.709
H25 0.348 0.537 0.006
H26 0.537 0.652 0.256
H27 0.463 0.348 0.756
H28 0.652 0.463 0.506
H29 0.035 0.574 0.915
H30 0.574 0.965 0.165
H31 0.426 0.035 0.665
H32 0.965 0.426 0.415
H33 0.036 0.879 0.039
H34 0.879 0.964 0.289
H35 0.121 0.036 0.789
H36 0.964 0.121 0.539
H37 0.349 0.841 0.131
H38 0.841 0.651 0.381
H39 0.159 0.349 0.881
H40 0.651 0.159 0.631
H41 0.221 0.624 0.886
H42 0.624 0.779 0.136
H43 0.376 0.221 0.636
H44 0.779 0.376 0.386
H45 0.098 0.757 0.899
H46 0.757 0.902 0.149
H47 0.243 0.098 0.649
H48 0.902 0.243 0.399
H49 0.222 0.862 0.983
H50 0.862 0.778 0.233
H51 0.138 0.222 0.733
H52 0.778 0.138 0.483
H53 0.344 0.728 0.970
H54 0.728 0.656 0.220
H55 0.272 0.344 0.720
H56 0.656 0.272 0.470
H57 0.433 0.588 0.522
H58 0.588 0.567 0.772
H59 0.412 0.433 0.272
H60 0.567 0.412 0.022
H61 0.358 0.894 0.430
H62 0.894 0.642 0.680
H63 0.106 0.358 0.180
H64 0.642 0.106 0.930
H65 0.051 0.852 0.538
H66 0.852 0.949 0.788
H67 0.148 0.051 0.288
H68 0.949 0.148 0.038
H69 0.297 0.790 0.719
H70 0.790 0.703 0.969
H71 0.210 0.297 0.469
H72 0.703 0.210 0.219

---

# BeAlH5 PBE optimized geometry
# **Raw total energy**: -3.4997 eV/atom
# **Energy of formation**: -0.135 eV/atom
# **Total magnetic moment**: 0.0 Bohr magnetons per cell
# **Symmetry**: C2/c (15)
data_BeAlH5
_chemical_formula_sum 'Be2 Al2 H10'
_cell_length_a 4.663
_cell_length_b 4.663
_cell_length_c 6.307
_cell_angle_alpha 73.30
_cell_angle_beta 73.30
_cell_angle_gamma 99.53
_space_group_name_H-M_alt 'P 1'
_space_group_IT_number 1
loop_
_space_group_symop_operation_xyz
'x,y,z'
loop_
_atom_site_label
_atom_site_fract_x
_atom_site_fract_y
_atom_site_fract_z
Be1 0.670 0.330 0.250
Be2 0.330 0.670 0.750
Al1 0.000 0.000 0.500
Al2 0.000 0.000 0.000
H1 0.738 0.642 0.090
H2 0.358 0.262 0.410
H3 0.262 0.358 0.910
H4 0.642 0.738 0.590
H5 0.092 0.908 0.250
H6 0.908 0.092 0.750
H7 0.125 0.685 0.619
H8 0.315 0.875 0.881
H9 0.875 0.315 0.381
H10 0.685 0.125 0.119

---

# ZrScB24 PBE optimized geometry
# **Raw total energy**: -6.9456 eV/atom
# **Energy of formation**: -0.208 eV/atom
# **Total magnetic moment**: 0.0 Bohr magnetons per cell
# **Symmetry**: R3m (160)
data_ZrScB24
_chemical_formula_sum 'Zr1 Sc1 B24'
_cell_length_a 5.240
_cell_length_b 5.240
_cell_length_c 9.094
_cell_angle_alpha 73.25
_cell_angle_beta 106.75
_cell_angle_gamma 120.00
_space_group_name_H-M_alt 'P 1'
_space_group_IT_number 1
loop_
_space_group_symop_operation_xyz
'x,y,z'
loop_
_atom_site_label
_atom_site_fract_x
_atom_site_fract_y
_atom_site_fract_z
Zr1 0.745 0.255 0.235
Sc1 0.256 0.744 0.767
B1 0.000 0.661 0.000
B2 0.661 0.000 0.000
B3 0.339 0.339 0.000
B4 0.339 0.000 0.000
B5 0.661 0.661 0.000
B6 0.000 0.339 0.000
B7 0.669 0.331 0.668
B8 0.331 0.331 0.668
B9 0.669 0.669 0.668
B10 0.331 0.669 0.331
B11 0.670 0.669 0.331
B12 0.331 0.330 0.331
B13 0.170 0.830 0.171
B14 0.830 0.830 0.171
B15 0.170 0.170 0.171
B16 0.830 0.170 0.829
B17 0.169 0.170 0.829
B18 0.830 0.831 0.829
B19 0.500 0.161 0.500
B20 0.161 0.500 0.500
B21 0.839 0.839 0.500
B22 0.839 0.500 0.500
B23 0.161 0.161 0.500
B24 0.500 0.839 0.500

---

# Tb3Co29Si4B10 PBE optimized geometry
# **Raw total energy**: -7.1283 eV/atom
# **Energy of formation**: -0.421 eV/atom
# **Total magnetic moment**: 37.0 Bohr magnetons per cell
# **Symmetry**: P4/nmm (129)
data_Tb3Co29Si4B10
_chemical_formula_sum 'Tb6 Co58 Si8 B20'
_cell_length_a 11.128
_cell_length_b 11.128
_cell_length_c 7.819
_cell_angle_alpha 90.00
_cell_angle_beta 90.00
_cell_angle_gamma 90.00
_space_group_name_H-M_alt 'P 1'
_space_group_IT_number 1
loop_
_space_group_symop_operation_xyz
'x,y,z'
loop_
_atom_site_label
_atom_site_fract_x
_atom_site_fract_y
_atom_site_fract_z
Tb1 0.250 0.750 0.000
Tb2 0.250 0.250 0.000
Tb3 0.750 0.750 0.000
Tb4 0.750 0.250 0.000
Tb5 0.000 0.000 0.500
Tb6 0.500 0.500 0.500
Co1 0.338 0.674 0.337
Co2 0.272 0.000 0.526
Co3 0.500 0.772 0.526
Co4 0.500 0.228 0.526
Co5 0.835 0.500 0.971
Co6 0.000 0.665 0.971
Co7 0.000 0.335 0.971
Co8 0.165 0.500 0.971
Co9 0.665 0.000 0.029
Co10 0.335 0.000 0.029
Co11 0.500 0.835 0.029
Co12 0.500 0.165 0.029
Co13 0.885 0.385 0.250
Co14 0.885 0.615 0.250
Co15 0.115 0.385 0.250
Co16 0.115 0.615 0.250
Co17 0.615 0.885 0.750
Co18 0.385 0.115 0.750
Co19 0.385 0.885 0.750
Co20 0.615 0.115 0.750
Co21 0.890 0.390 0.699
Co22 0.890 0.610 0.699
Co23 0.110 0.390 0.699
Co24 0.110 0.610 0.699
Co25 0.610 0.890 0.301
Co26 0.390 0.110 0.301
Co27 0.390 0.890 0.301
Co28 0.610 0.110 0.301
Co29 0.338 0.326 0.337
Co30 0.826 0.162 0.337
Co31 0.174 0.838 0.337
Co32 0.662 0.674 0.337
Co33 0.162 0.826 0.663
Co34 0.838 0.174 0.663
Co35 0.326 0.338 0.663
Co36 0.610 0.500 0.889
Co37 0.162 0.174 0.663
Co38 0.674 0.338 0.663
Co39 0.326 0.662 0.663
Co40 0.838 0.826 0.663
Co41 0.728 0.000 0.526
Co42 0.000 0.890 0.889
Co43 0.174 0.162 0.337
Co44 0.826 0.838 0.337
Co45 0.000 0.110 0.889
Co46 0.390 0.500 0.889
Co47 0.500 0.000 0.533
Co48 0.000 0.500 0.467
Co49 0.110 0.000 0.111
Co50 0.228 0.500 0.474
Co51 0.000 0.272 0.474
Co52 0.000 0.728 0.474
Co53 0.772 0.500 0.474
Co54 0.500 0.610 0.111
Co55 0.500 0.390 0.111
Co56 0.890 0.000 0.111
Co57 0.674 0.662 0.663
Co58 0.662 0.326 0.337
Si1 0.500 0.682 0.825
Si2 0.318 0.500 0.175
Si3 0.000 0.182 0.175
Si4 0.000 0.818 0.175
Si5 0.682 0.500 0.175
Si6 0.182 0.000 0.825
Si7 0.818 0.000 0.825
Si8 0.500 0.318 0.825
B1 0.686 0.186 0.518
B2 0.314 0.814 0.518
B3 0.314 0.186 0.518
B4 0.686 0.814 0.518
B5 0.186 0.686 0.482
B6 0.186 0.314 0.482
B7 0.500 0.256 0.263
B8 0.500 0.744 0.263
B9 0.244 0.000 0.263
B10 0.756 0.000 0.263
B11 0.256 0.500 0.737
B12 0.000 0.244 0.737
B13 0.000 0.756 0.737
B14 0.744 0.500 0.737
B15 0.500 0.000 0.149
B16 0.000 0.500 0.851
B17 0.500 0.000 0.893
B18 0.000 0.500 0.107
B19 0.814 0.686 0.482
B20 0.814 0.314 0.482

---

# Cs2TmCl5O PBE optimized geometry
# **Raw total energy**: -3.9720 eV/atom
# **Energy of formation**: -1.775 eV/atom
# **Total magnetic moment**: 8.0 Bohr magnetons per cell
# **Symmetry**: Pnma (62)
data_Cs2TmCl5O
_chemical_formula_sum 'Cs8 Tm4 Cl20 O4'
_cell_length_a 8.106
_cell_length_b 11.102
_cell_length_c 14.499
_cell_angle_alpha 90.00
_cell_angle_beta 90.00
_cell_angle_gamma 90.00
_space_group_name_H-M_alt 'P 1'
_space_group_IT_number 1
loop_
_space_group_symop_operation_xyz
'x,y,z'
loop_
_atom_site_label
_atom_site_fract_x
_atom_site_fract_y
_atom_site_fract_z
Cs1 0.835 0.493 0.861
Cs2 0.165 0.507 0.139
Cs3 0.335 0.507 0.639
Cs4 0.165 0.993 0.139
Cs5 0.665 0.493 0.361
Cs6 0.835 0.007 0.861
Cs7 0.665 0.007 0.361
Cs8 0.335 0.993 0.639
Tm1 0.779 0.750 0.614
Tm2 0.221 0.250 0.386
Tm3 0.279 0.250 0.886
Tm4 0.721 0.750 0.114
Cl1 0.540 0.750 0.497
Cl2 0.460 0.250 0.503
Cl3 0.040 0.250 0.003
Cl4 0.960 0.750 0.997
Cl5 0.074 0.750 0.704
Cl6 0.926 0.250 0.296
Cl7 0.574 0.250 0.796
Cl8 0.426 0.750 0.204
Cl9 0.814 0.520 0.599
Cl10 0.186 0.480 0.401
Cl11 0.314 0.480 0.901
Cl12 0.186 0.020 0.401
Cl13 0.686 0.520 0.099
Cl14 0.814 0.980 0.599
Cl15 0.686 0.980 0.099
Cl16 0.314 0.020 0.901
Cl17 0.613 0.750 0.765
Cl18 0.387 0.250 0.235
Cl19 0.113 0.250 0.735
Cl20 0.887 0.750 0.265
O1 0.022 0.750 0.540
O2 0.978 0.250 0.460
O3 0.522 0.250 0.960
O4 0.478 0.750 0.040